A plane-wave DFT calculation with PBE was carried out for crystalline Mg5Si9 at its relaxed geometry.

Calculated values
Its MP2020-corrected energy is -3.875 eV per atom. The calculation puts the energy above the most stable polymorph in this dataset at 0.77 kcal/mol of atoms. For the formation energy from the elements, the calculation gives 0.18 eV per atom.

Cell: 7.321 7.474 10.624 Å, 97.05 101.53 116.76°
Atoms (fractional coordinates):
Mg 0.706 0.263 0.243
Mg 0.932 0.522 0.552
Mg 0.854 0.081 0.500
Mg 0.187 0.013 0.663
Mg 0.406 0.196 0.414
Mg 0.387 0.808 0.510
Mg 0.457 0.136 0.955
Mg 0.283 0.363 0.144
Mg 0.130 0.364 0.838
Mg 0.725 0.629 0.087
Si 0.690 0.985 0.771
Si 0.428 0.769 0.021
Si 0.322 0.463 0.627
Si 0.632 0.590 0.371
Si 0.709 0.723 0.623
Si 0.996 0.049 0.254
Si 0.913 0.634 0.805
Si 0.128 0.638 0.238
Si 0.547 0.407 0.805
Si 0.124 0.387 0.389
Si 0.244 0.957 0.133
Si 0.020 0.985 0.917
Si 0.310 0.750 0.770
Si 0.511 0.832 0.274
Si 0.790 0.030 0.035
Si 0.913 0.394 0.023
Si 0.003 0.804 0.384
Si 0.654 0.227 0.655